(1)
{
  "formula": "Rb2Ta2P7O24",
  "functional": "PBE-GGA",
  "state": "optimized geometry",
  "lattice_angstrom": [[5.2630, 0.0000, 0.0000], [0.0000, 18.8485, 0.0000], [-1.0295, 0.0000, 10.9204]],
  "species": ["Rb", "Rb", "Rb", "Rb", "Ta", "Ta", "Ta", "Ta", "P", "P", "P", "P", "P", "P", "P", "P", "P", "P", "P", "P", "P", "P", "O", "O", "O", "O", "O", "O", "O", "O", "O", "O", "O", "O", "O", "O", "O", "O", "O", "O", "O", "O", "O", "O", "O", "O", "O", "O", "O", "O", "O", "O", "O", "O", "O", "O", "O", "O", "O", "O", "O", "O", "O", "O", "O", "O", "O", "O", "O", "O"],
  "frac_coords": [[0.2071, 0.2500, 0.2276], [0.2324, 0.7500, 0.5095], [0.7676, 0.2500, 0.4905], [0.7929, 0.7500, 0.7724], [0.2039, 0.5245, 0.3049], [0.2039, 0.9755, 0.3049], [0.7961, 0.0245, 0.6951], [0.7961, 0.4755, 0.6951], [0.1776, 0.6254, 0.0339], [0.1776, 0.8746, 0.0339], [0.2605, 0.0968, 0.5428], [0.2605, 0.4032, 0.5428], [0.3221, 0.5833, 0.7954], [0.3221, 0.9167, 0.7954], [0.3984, 0.7500, 0.1639], [0.6016, 0.2500, 0.8361], [0.6779, 0.0833, 0.2046], [0.6779, 0.4167, 0.2046], [0.7395, 0.5968, 0.4572], [0.7395, 0.9032, 0.4572], [0.8224, 0.1254, 0.9661], [0.8224, 0.3746, 0.9661], [0.0205, 0.0917, 0.6169], [0.0205, 0.4083, 0.6169], [0.0603, 0.1573, 0.0217], [0.0603, 0.3427, 0.0217], [0.0976, 0.5339, 0.7478], [0.0976, 0.9661, 0.7478], [0.1655, 0.5778, 0.1476], [0.1655, 0.9222, 0.1476], [0.1745, 0.7500, 0.2406], [0.2463, 0.0296, 0.4577], [0.2463, 0.4704, 0.4577], [0.2718, 0.1648, 0.4739], [0.2718, 0.3352, 0.4739], [0.3010, 0.6578, 0.7517], [0.3010, 0.8422, 0.7517], [0.3260, 0.5768, 0.9438], [0.3260, 0.9232, 0.9438], [0.3544, 0.2500, 0.7538], [0.3963, 0.6839, 0.0725], [0.3963, 0.8161, 0.0725], [0.4283, 0.0444, 0.2288], [0.4283, 0.4556, 0.2288], [0.4987, 0.0833, 0.6373], [0.4987, 0.4167, 0.6373], [0.5013, 0.5833, 0.3627], [0.5013, 0.9167, 0.3627], [0.5717, 0.5444, 0.7712], [0.5717, 0.9556, 0.7712], [0.6037, 0.1839, 0.9275], [0.6037, 0.3161, 0.9275], [0.6456, 0.7500, 0.2462], [0.6740, 0.0768, 0.0562], [0.6740, 0.4232, 0.0562], [0.6990, 0.1578, 0.2483], [0.6990, 0.3422, 0.2483], [0.7282, 0.6648, 0.5261], [0.7282, 0.8352, 0.5261], [0.7537, 0.5296, 0.5423], [0.7537, 0.9704, 0.5423], [0.8255, 0.2500, 0.7594], [0.8345, 0.0778, 0.8524], [0.8345, 0.4222, 0.8524], [0.9024, 0.0339, 0.2522], [0.9024, 0.4661, 0.2522], [0.9397, 0.6573, 0.9783], [0.9397, 0.8427, 0.9783], [0.9795, 0.5917, 0.3831], [0.9795, 0.9083, 0.3831]],
  "final_energy_ev_per_atom": -7.49,
  "formation_enthalpy_0k_mev_per_atom": -2753
}


(2)
{
  "formula": "Ho3SnC",
  "functional": "PBE-GGA",
  "state": "optimized geometry",
  "lattice_angstrom": [[5.5788, 0.0000, 0.0000], [0.0000, 5.5788, 0.0000], [0.0000, 0.0000, 5.5788]],
  "species": ["Ho", "Ho", "Ho", "Sn", "C"],
  "frac_coords": [[0.0000, 0.0000, 0.5000], [0.0000, 0.5000, 0.0000], [0.5000, 0.0000, 0.0000], [0.0000, 0.0000, 0.0000], [0.5000, 0.5000, 0.5000]],
  "final_energy_ev_per_atom": -3.93,
  "formation_enthalpy_0k_mev_per_atom": 1472
}


(3)
{
  "formula": "Na2Y4Ti4Si3S9O48",
  "functional": "PBE-GGA",
  "state": "optimized geometry",
  "lattice_angstrom": [[8.9563, 0.0000, 0.0000], [-0.0148, 15.4977, 0.0000], [-0.0573, -0.1631, 23.2964]],
  "species": ["Na", "Na", "Na", "Na", "Na", "Na", "Y", "Y", "Y", "Y", "Y", "Y", "Y", "Y", "Y", "Y", "Y", "Y", "Ti", "Ti", "Ti", "Ti", "Ti", "Ti", "Ti", "Ti", "Ti", "Ti", "Ti", "Ti", "Si", "Si", "Si", "Si", "Si", "Si", "Si", "Si", "Si", "S", "S", "S", "S", "S", "S", "S", "S", "S", "S", "S", "S", "S", "S", "S", "S", "S", "S", "S", "S", "S", "S", "S", "S", "S", "S", "S", "O", "O", "O", "O", "O", "O", "O", "O", "O", "O", "O", "O", "O", "O", "O", "O", "O", "O", "O", "O", "O", "O", "O", "O", "O", "O", "O", "O", "O", "O", "O", "O", "O", "O", "O", "O", "O", "O", "O", "O", "O", "O", "O", "O", "O", "O", "O", "O", "O", "O", "O", "O", "O", "O", "O", "O", "O", "O", "O", "O", "O", "O", "O", "O", "O", "O", "O", "O", "O", "O", "O", "O", "O", "O", "O", "O", "O", "O", "O", "O", "O", "O", "O", "O", "O", "O", "O", "O", "O", "O", "O", "O", "O", "O", "O", "O", "O", "O", "O", "O", "O", "O", "O", "O", "O", "O", "O", "O", "O", "O", "O", "O", "O", "O", "O", "O", "O", "O", "O", "O", "O", "O", "O", "O", "O", "O", "O", "O", "O", "O", "O", "O", "O", "O", "O", "O", "O", "O", "O", "O", "O", "O", "O", "O"],
  "frac_coords": [[0.0000, 0.0000, 0.0000], [0.0012, 0.0113, 0.5126], [0.0370, 0.6759, 0.3358], [0.4833, 0.1772, 0.8334], [0.5111, 0.5095, 0.0119], [0.5187, 0.4965, 0.5043], [0.0009, 0.3453, 0.0349], [0.0028, 0.0241, 0.3581], [0.0053, 0.3539, 0.5342], [0.0057, 0.6887, 0.4870], [0.0138, 0.6817, 0.1913], [0.0159, 0.0062, 0.8550], [0.5011, 0.5083, 0.3557], [0.5017, 0.1843, 0.6909], [0.5108, 0.1888, 0.9858], [0.5127, 0.5246, 0.8558], [0.5139, 0.8533, 0.0311], [0.5174, 0.8463, 0.5355], [0.9996, 0.6875, 0.9785], [0.0066, 0.0228, 0.1608], [0.0144, 0.0206, 0.6540], [0.0171, 0.3464, 0.8097], [0.5037, 0.5166, 0.6548], [0.5048, 0.8488, 0.3136], [0.5058, 0.5183, 0.1567], [0.5123, 0.1974, 0.4831], [0.5223, 0.1919, 0.1915], [0.5339, 0.8426, 0.8146], [0.9850, 0.3418, 0.3206], [0.9946, 0.6907, 0.6918], [0.1538, 0.1624, 0.7572], [0.3683, 0.6656, 0.2567], [0.3850, 0.3376, 0.5875], [0.6383, 0.3363, 0.0914], [0.6561, 0.6617, 0.7525], [0.7152, 0.3470, 0.4253], [0.7978, 0.8473, 0.9230], [0.8590, 0.1664, 0.2556], [0.8803, 0.8356, 0.5919], [0.1304, 0.8335, 0.0837], [0.1392, 0.4938, 0.4167], [0.1646, 0.2099, 0.4226], [0.1657, 0.8666, 0.7496], [0.1757, 0.5436, 0.0847], [0.2123, 0.5146, 0.7506], [0.2203, 0.1680, 0.0935], [0.2284, 0.8455, 0.4160], [0.2889, 0.3468, 0.9166], [0.2956, 0.6717, 0.5933], [0.3033, 0.0148, 0.2512], [0.3428, 0.0429, 0.5853], [0.3489, 0.7068, 0.9239], [0.3551, 0.3672, 0.2492], [0.3753, 0.9931, 0.9181], [0.6424, 0.9946, 0.4225], [0.6558, 0.7101, 0.4159], [0.6691, 0.0432, 0.0954], [0.6690, 0.3719, 0.7575], [0.7148, 0.0081, 0.7554], [0.7197, 0.6709, 0.0849], [0.7987, 0.1692, 0.5867], [0.8032, 0.5080, 0.2554], [0.8504, 0.5454, 0.5949], [0.8503, 0.8744, 0.2553], [0.8629, 0.2093, 0.9157], [0.8708, 0.4976, 0.9249], [0.0546, 0.9188, 0.0880], [0.0653, 0.5802, 0.4144], [0.0664, 0.7860, 0.0326], [0.0690, 0.2611, 0.7653], [0.0796, 0.1116, 0.7000], [0.0817, 0.8942, 0.8008], [0.0908, 0.4432, 0.3648], [0.0959, 0.2493, 0.4727], [0.1014, 0.4510, 0.4703], [0.1050, 0.7839, 0.1362], [0.1073, 0.1194, 0.4177], [0.1086, 0.5781, 0.1376], [0.1120, 0.7770, 0.7361], [0.1127, 0.5863, 0.7369], [0.1169, 0.1102, 0.8137], [0.1214, 0.0891, 0.1022], [0.1208, 0.4355, 0.7619], [0.1213, 0.4549, 0.0762], [0.1241, 0.2439, 0.0881], [0.1296, 0.2580, 0.3686], [0.1298, 0.9219, 0.4134], [0.1331, 0.9280, 0.7018], [0.1382, 0.7646, 0.4136], [0.1433, 0.5986, 0.0347], [0.1744, 0.0392, 0.5928], [0.1817, 0.7015, 0.9323], [0.1905, 0.3467, 0.8643], [0.1939, 0.3646, 0.2575], [0.1940, 0.6887, 0.2492], [0.1946, 0.9941, 0.2017], [0.1971, 0.6798, 0.6430], [0.2002, 0.3502, 0.9691], [0.2104, 0.6565, 0.5393], [0.2109, 0.0046, 0.9179], [0.2138, 0.0360, 0.3021], [0.2167, 0.3576, 0.5729], [0.2914, 0.8456, 0.0766], [0.3021, 0.5350, 0.8020], [0.3034, 0.5052, 0.4157], [0.3041, 0.1514, 0.0398], [0.3148, 0.4927, 0.7013], [0.3176, 0.8485, 0.4685], [0.3202, 0.1775, 0.1430], [0.3267, 0.8451, 0.3635], [0.3271, 0.8635, 0.7603], [0.3289, 0.1824, 0.7541], [0.3305, 0.2048, 0.4289], [0.3428, 0.5393, 0.0925], [0.3736, 0.0982, 0.5353], [0.3783, 0.2653, 0.9147], [0.3785, 0.7546, 0.8706], [0.3894, 0.4226, 0.9146], [0.3893, 0.7487, 0.5877], [0.3910, 0.4289, 0.2010], [0.3910, 0.6094, 0.3126], [0.3911, 0.9533, 0.5749], [0.3923, 0.9353, 0.2602], [0.3945, 0.5938, 0.6002], [0.4008, 0.0868, 0.2359], [0.4054, 0.6163, 0.9205], [0.4090, 0.2777, 0.2352], [0.4114, 0.0736, 0.6385], [0.4120, 0.2800, 0.6422], [0.4119, 0.9499, 0.9724], [0.4146, 0.7475, 0.9748], [0.4247, 0.9430, 0.8670], [0.4399, 0.3943, 0.3001], [0.4448, 0.6133, 0.2001], [0.4498, 0.0794, 0.9174], [0.4538, 0.7629, 0.2676], [0.4627, 0.2839, 0.5301], [0.4731, 0.4314, 0.5989], [0.5607, 0.2997, 0.0331], [0.5656, 0.4308, 0.1076], [0.5674, 0.0785, 0.4297], [0.5670, 0.6077, 0.7012], [0.5732, 0.7559, 0.7667], [0.5881, 0.9515, 0.3687], [0.5885, 0.2687, 0.1432], [0.5920, 0.6228, 0.4120], [0.5927, 0.4074, 0.8086], [0.5979, 0.4242, 0.4188], [0.5997, 0.9578, 0.0921], [0.6025, 0.0899, 0.1443], [0.6045, 0.7492, 0.4701], [0.6111, 0.7647, 0.3656], [0.6125, 0.0815, 0.7496], [0.6163, 0.9391, 0.4727], [0.6167, 0.7436, 0.0778], [0.6207, 0.9277, 0.7614], [0.6242, 0.2530, 0.4326], [0.6268, 0.2806, 0.7516], [0.6313, 0.5893, 0.0896], [0.6366, 0.4234, 0.7057], [0.6459, 0.6071, 0.8101], [0.6524, 0.0922, 0.0412], [0.6861, 0.5386, 0.6026], [0.6859, 0.8773, 0.2635], [0.6870, 0.1829, 0.2357], [0.6898, 0.8353, 0.8637], [0.6958, 0.2043, 0.9157], [0.6962, 0.8579, 0.9781], [0.6983, 0.1568, 0.5358], [0.7026, 0.8423, 0.5891], [0.7042, 0.4968, 0.2040], [0.7060, 0.5126, 0.9222], [0.7160, 0.1796, 0.6400], [0.7157, 0.5245, 0.3073], [0.8013, 0.0204, 0.8082], [0.8060, 0.6845, 0.1375], [0.8094, 0.0062, 0.4192], [0.8131, 0.9971, 0.7046], [0.8160, 0.3419, 0.0886], [0.8185, 0.3622, 0.4791], [0.8217, 0.6613, 0.0343], [0.8222, 0.7057, 0.4151], [0.8265, 0.3359, 0.3654], [0.8308, 0.6820, 0.7360], [0.8344, 0.0314, 0.1048], [0.8351, 0.3755, 0.7679], [0.8706, 0.1039, 0.3088], [0.8732, 0.5936, 0.5406], [0.8871, 0.9289, 0.2041], [0.8915, 0.0879, 0.5912], [0.8950, 0.7545, 0.9338], [0.8962, 0.4291, 0.2623], [0.8963, 0.7843, 0.2455], [0.8995, 0.4432, 0.9751], [0.9006, 0.2421, 0.5795], [0.9043, 0.5827, 0.2475], [0.9073, 0.2637, 0.8657], [0.9136, 0.2491, 0.9701], [0.9163, 0.4595, 0.5925], [0.9157, 0.9245, 0.9202], [0.9201, 0.5914, 0.6438], [0.9260, 0.1217, 0.9129], [0.9291, 0.9066, 0.3067], [0.9304, 0.7689, 0.6438], [0.9306, 0.4614, 0.8716], [0.9456, 0.2575, 0.2682], [0.9463, 0.5838, 0.9354], [0.9496, 0.1120, 0.2019], [0.9541, 0.9297, 0.6085], [0.9556, 0.8005, 0.5329]],
  "final_energy_ev_per_atom": -7.21,
  "formation_enthalpy_0k_mev_per_atom": -2663
}


(4)
{
  "formula": "CsMg14Cr",
  "functional": "PBE-GGA",
  "state": "optimized geometry",
  "lattice_angstrom": [[6.5183, 0.0000, 0.0000], [-3.2591, 5.6450, 0.0000], [0.0000, 0.0000, 10.7697]],
  "species": ["Cs", "Mg", "Mg", "Mg", "Mg", "Mg", "Mg", "Mg", "Mg", "Mg", "Mg", "Mg", "Mg", "Mg", "Mg", "Cr"],
  "frac_coords": [[0.0000, 0.0000, 0.0000], [0.0057, 0.5029, 0.0000], [0.1698, 0.3395, 0.2729], [0.1698, 0.3395, 0.7271], [0.1698, 0.8302, 0.2729], [0.1698, 0.8302, 0.7271], [0.4971, 0.5029, 0.0000], [0.4971, 0.9943, 0.0000], [0.5024, 0.0048, 0.5000], [0.5024, 0.4976, 0.5000], [0.6605, 0.8302, 0.2729], [0.6605, 0.8302, 0.7271], [0.6667, 0.3333, 0.2439], [0.6667, 0.3333, 0.7561], [0.9952, 0.4976, 0.5000], [0.0000, 0.0000, 0.5000]],
  "final_energy_ev_per_atom": -1.80,
  "formation_enthalpy_0k_mev_per_atom": 256
}